No. 1
DFT (meta-GGA r2SCAN) results for an optimized crystal structure of Rb2B4O7.

Values from the calculation:
magnetization: 0.000 μB/atom
formation energy: -248 kJ per mole of atoms
E_tot: -10.19 eV/atom

Cell: 6.6552 9.8514 10.6401 Å, 89.29 76.73 78.80°
Closest atoms and distances in Å follow each position.
Sites, in units of the cell vectors:
Rb 0.1383 0.1243 0.0497  6 O 2.76-3.02
Rb 0.1672 0.5205 0.1261  4 O 2.81-3.05
Rb 0.2598 0.6206 0.5083  8 O 2.78-3.11
Rb 0.2608 0.9904 0.4065  4 O 2.79-3.07
Rb 0.7392 0.0096 0.5935  4 O 2.79-3.07
Rb 0.7402 0.3794 0.4917  8 O 2.78-3.11
Rb 0.8328 0.4795 0.8739  4 O 2.81-3.05
Rb 0.8617 0.8757 0.9503  6 O 2.76-3.02
B 0.0618 0.1603 0.7392  4 O 1.44-1.50
B 0.1967 0.2906 0.5508  3 O 1.36-1.38
B 0.2967 0.9131 0.7351  3 O 1.37-1.38
B 0.3354 0.3102 0.7488  4 O 1.44-1.50
B 0.3530 0.7936 0.1486  3 O 1.37
B 0.3705 0.5584 0.8033  3 O 1.37-1.38
B 0.4042 0.2923 0.3193  4 O 1.44-1.51
B 0.4317 0.7745 0.8999  4 O 1.45-1.51
B 0.5683 0.2255 0.1001  4 O 1.45-1.51
B 0.5958 0.7077 0.6807  4 O 1.44-1.51
B 0.6295 0.4416 0.1967  3 O 1.37-1.38
B 0.6470 0.2064 0.8514  3 O 1.37
B 0.6646 0.6898 0.2512  4 O 1.44-1.50
B 0.7033 0.0869 0.2649  3 O 1.37-1.38
B 0.8033 0.7094 0.4492  3 O 1.36-1.38
B 0.9382 0.8397 0.2608  4 O 1.44-1.50
O 0.0326 0.2331 0.6186  2 B 1.38-1.50
O 0.1407 0.8453 0.1702  2 B 1.37-1.48
O 0.1634 0.0151 0.6897  2 B 1.37-1.50
O 0.1863 0.2259 0.8042  2 B 1.44
O 0.2089 0.3069 0.4205  2 B 1.38-1.47
O 0.2747 0.4467 0.8214  2 B 1.37-1.50
O 0.2972 0.9017 0.8634  2 B 1.37-1.49
O 0.3147 0.6577 0.9013  2 B 1.37-1.51
O 0.3357 0.3337 0.6095  2 B 1.36-1.50
O 0.3687 0.2547 0.1969  2 B 1.44-1.46
O 0.4311 0.8186 0.6433  2 B 1.38-1.51
O 0.4424 0.7523 0.2505  2 B 1.37-1.49
O 0.4759 0.7882 0.0258  2 B 1.37-1.45
O 0.4821 0.4261 0.3076  2 B 1.38-1.50
O 0.5179 0.5739 0.6924  2 B 1.38-1.50
O 0.5241 0.2118 0.9742  2 B 1.37-1.45
O 0.5576 0.2477 0.7495  2 B 1.37-1.49
O 0.5689 0.1814 0.3567  2 B 1.38-1.51
O 0.6313 0.7453 0.8031  2 B 1.44-1.46
O 0.6643 0.6663 0.3905  2 B 1.36-1.50
O 0.6853 0.3423 0.0987  2 B 1.37-1.51
O 0.7028 0.0983 0.1366  2 B 1.37-1.49
O 0.7253 0.5533 0.1786  2 B 1.37-1.50
O 0.7911 0.6931 0.5795  2 B 1.38-1.47
O 0.8137 0.7741 0.1958  2 B 1.44
O 0.8366 0.9849 0.3103  2 B 1.37-1.50
O 0.8593 0.1547 0.8298  2 B 1.37-1.48
O 0.9674 0.7669 0.3814  2 B 1.38-1.50

***

No. 2
DFT (meta-GGA r2SCAN) results for an optimized crystal structure of Sr3ScB3O9.

Values from the calculation:
magnetization: 0.000 μB/atom
formation energy: -307 kJ per mole of atoms
E_tot: -11.47 eV/atom

Cell: 7.6437 7.6437 7.6437 Å, 104.96 104.96 104.96°
Closest atoms and distances in Å follow each position.
Sites, in units of the cell vectors:
Sr 0.1622 0.6510 0.2603  8 O 2.51-2.77
Sr 0.2603 0.1622 0.6510  8 O 2.51-2.77
Sr 0.3490 0.7397 0.8378  8 O 2.51-2.77
Sr 0.6510 0.2603 0.1622  8 O 2.51-2.77
Sr 0.7397 0.8378 0.3490  8 O 2.51-2.77
Sr 0.8378 0.3490 0.7397  8 O 2.51-2.77
Sc 0.0000 0.0000 0.0000  6 O 2.14
Sc 0.5000 0.5000 0.5000  6 O 2.09
B 0.0402 0.2908 0.3698  3 O 1.36-1.39
B 0.2908 0.3698 0.0402  3 O 1.36-1.39
B 0.3698 0.0402 0.2908  3 O 1.36-1.39
B 0.6302 0.9598 0.7092  3 O 1.36-1.39
B 0.7092 0.6302 0.9598  3 O 1.36-1.39
B 0.9598 0.7092 0.6302  3 O 1.36-1.39
O 0.0151 0.7387 0.8266  1 B 1.39
O 0.0789 0.8084 0.5557  1 B 1.36
O 0.1734 0.9849 0.2613  1 B 1.39
O 0.1916 0.4443 0.9211  1 B 1.36
O 0.2151 0.4335 0.4920  1 B 1.39
O 0.2613 0.1734 0.9849  1 B 1.39
O 0.4335 0.4920 0.2151  1 B 1.39
O 0.4443 0.9211 0.1916  1 B 1.36
O 0.4920 0.2151 0.4335  1 B 1.39
O 0.5080 0.7849 0.5665  1 B 1.39
O 0.5557 0.0789 0.8084  1 B 1.36
O 0.5665 0.5080 0.7849  1 B 1.39
O 0.7387 0.8266 0.0151  1 B 1.39
O 0.7849 0.5665 0.5080  1 B 1.39
O 0.8084 0.5557 0.0789  1 B 1.36
O 0.8266 0.0151 0.7387  1 B 1.39
O 0.9211 0.1916 0.4443  1 B 1.36
O 0.9849 0.2613 0.1734  1 B 1.39

***

No. 3
DFT (meta-GGA r2SCAN) results for an optimized crystal structure of YbScB2O6.

Values from the calculation:
magnetization: 0.000 μB/atom
formation energy: -324 kJ per mole of atoms
E_tot: -13.20 eV/atom

Cell: 5.9288 5.9288 5.9288 Å, 48.16 48.16 48.16°
Closest atoms and distances in Å follow each position.
Sites, in units of the cell vectors:
Yb 0.0000 0.0000 0.0000  6 O 2.23
Sc 0.5000 0.5000 0.5000  6 O 2.13
B 0.2468 0.2468 0.2468  3 O 1.38
B 0.7532 0.7532 0.7532  3 O 1.38
O 0.0430 0.7405 0.4732  1 B 1.38
O 0.2595 0.5268 0.9570  1 B 1.38
O 0.4732 0.0430 0.7405  1 B 1.38
O 0.5268 0.9570 0.2595  1 B 1.38
O 0.7405 0.4732 0.0430  1 B 1.38
O 0.9570 0.2595 0.5268  1 B 1.38

***

No. 4
DFT (meta-GGA r2SCAN) results for an optimized crystal structure of Si2B2O5.

Values from the calculation:
magnetization: 0.000 μB/atom
formation energy: -59 kJ per mole of atoms
E_tot: -7.51 eV/atom

Cell: 3.3842 3.3842 6.7953 Å, 90.00 90.00 90.00°
Closest atoms and distances in Å follow each position.
Sites, in units of the cell vectors:
Si 0.0000 0.0000 0.0000  12 O 2.39-2.48
Si 0.0000 0.0000 0.5000  8 O 2.32
B 0.5000 0.5000 0.2119  1 O 1.44
B 0.5000 0.5000 0.7881  1 O 1.44
O 0.0000 0.5000 0.2668  2 B 1.73
O 0.0000 0.5000 0.7332  2 B 1.73
O 0.5000 0.0000 0.2668  2 B 1.73
O 0.5000 0.0000 0.7332  2 B 1.73
O 0.5000 0.5000 0.0000  2 B 1.44